Entry 1:
An optimized crystal structure of Hf2SnC, computed with r²SCAN.

a b c (Å): 3.3268 3.3268 14.4163
angles (deg): 90.00 90.00 120.00
Last column: nearest neighbours and their distance in Å.
Space group P6_3/mmc (No. 194)
Unique sites:
Hf  0.3333  0.6667  0.0844 (multiplicity 4)  3 C 2.27
Sn  0.3333  0.6667  0.7500 (multiplicity 2)  6 Hf 3.06, 6 Sn 3.33
C  0.0000  0.0000  0.0000 (multiplicity 2)  6 Hf 2.27

Computed properties:
The value obtained for the volume is 17.3 Å³ per atom. The calculated total energy comes out at -32.11 eV/atom.

Entry 2:
An optimized crystal structure of HfTaC2, computed with r²SCAN.

a b c (Å): 3.2070 3.2070 15.7759
angles (deg): 90.00 90.00 120.00
Last column: nearest neighbours and their distance in Å.
Space group R-3m (No. 166, hexagonal axes)
Unique sites:
Hf  0.0000  0.0000  0.0000 (multiplicity 3)  6 C 2.30
Ta  0.0000  0.0000  0.5000 (multiplicity 3)  6 C 2.24
C  0.0000  0.0000  0.2470 (multiplicity 6)  3 Ta 2.24, 3 Hf 2.30

Computed properties:
The value obtained for the volume is 11.7 Å³ per atom. The calculated total energy comes out at -29.35 eV/atom.

Entry 3:
An optimized crystal structure of Hf3Zn3C, computed with r²SCAN.

a b c (Å): 12.0231 12.0231 12.0231
angles (deg): 90.00 90.00 90.00
Last column: nearest neighbours and their distance in Å.
Space group Fd-3m (No. 227, origin choice 2)
Unique sites:
Hf  0.0645  0.3750  0.3750 (multiplicity 48)  2 C 2.26
Zn  0.0000  0.0000  0.5000 (multiplicity 16)  6 Zn 2.59
Zn  0.0437  0.0437  0.7063 (multiplicity 32)  6 Zn 2.59-2.76, 3 Hf 2.88
C  0.0000  0.0000  0.0000 (multiplicity 16)  6 Hf 2.26

Computed properties:
The value obtained for the volume is 15.5 Å³ per atom. The calculated total energy comes out at -25.14 eV/atom.

Entry 4:
An optimized crystal structure of Ho2C, computed with r²SCAN.

a b c (Å): 3.5695 3.5695 18.1971
angles (deg): 90.00 90.00 120.00
Last column: nearest neighbours and their distance in Å.
Space group R-3m (No. 166, hexagonal axes)
Unique sites:
Ho  0.0000  0.0000  0.2397 (multiplicity 6)  3 C 2.45
C  0.0000  0.0000  0.5000 (multiplicity 3)  6 Ho 2.45

Computed properties:
The value obtained for the volume is 22.3 Å³ per atom. The calculated total energy comes out at -25.70 eV/atom.

Entry 5:
An optimized crystal structure of Ho12Mn5C15, computed with r²SCAN.

a b c (Å): 10.4082 10.4082 5.0173
angles (deg): 90.00 90.00 120.00
Last column: nearest neighbours and their distance in Å.
Space group P-62m (No. 189)
Unique sites:
Ho  0.0000  0.4293  0.0000 (multiplicity 3)  8 C 2.53-2.72
Ho  0.0000  0.7939  0.0000 (multiplicity 3)  4 C 2.51-2.52
Ho  0.1857  0.7304  0.5000 (multiplicity 6)  5 C 2.33-2.52
Mn  0.0000  0.1538  0.5000 (multiplicity 3)  3 C 1.81-1.94
Mn  0.3333  0.6667  0.0000 (multiplicity 2)  3 C 1.76
C  0.0000  0.3275  0.5000 (multiplicity 3)  1 C 1.35
C  0.0000  0.4570  0.5000 (multiplicity 3)  1 C 1.35
C  0.0000  0.7934  0.5000 (multiplicity 3)  2 Mn 1.94
C  0.1961  0.7188  0.0000 (multiplicity 6)  1 Mn 1.76

Computed properties:
The value obtained for the volume is 14.7 Å³ per atom. The calculated total energy comes out at -19.78 eV/atom.

Entry 6:
An optimized crystal structure of Ho2Mo2C3, computed with r²SCAN.

a b c (Å): 11.6713 3.3251 5.6885
angles (deg): 90.00 112.24 90.00
Last column: nearest neighbours and their distance in Å.
Space group C2/m (No. 12)
Unique sites:
Ho  0.1104  0.0000  0.3249 (multiplicity 4)  5 C 2.42-2.53
Mo  0.1567  0.5000  0.8260 (multiplicity 4)  4 C 2.05-2.16
C  0.0000  0.5000  0.5000 (multiplicity 2)  2 Mo 2.05
C  0.2487  0.5000  0.2342 (multiplicity 4)  3 Mo 2.09-2.16

Computed properties:
The value obtained for the volume is 14.6 Å³ per atom. The calculated total energy comes out at -21.59 eV/atom.

Entry 7:
An optimized crystal structure of Ho2OsC2, computed with r²SCAN.

a b c (Å): 6.4117 5.0855 9.7177
angles (deg): 90.00 90.00 90.00
Last column: nearest neighbours and their distance in Å.
Space group Pnma (No. 62)
Unique sites:
Ho  0.0275  0.2500  0.2185 (multiplicity 4)  4 C 2.49-2.57
Ho  0.1820  0.2500  0.5527 (multiplicity 4)  5 C 2.45-2.56
Os  0.2235  0.2500  0.8653 (multiplicity 4)  3 C 1.93-1.99
C  0.0401  0.7500  0.2420 (multiplicity 4)  2 Os 1.93-1.99
C  0.1748  0.7500  0.5535 (multiplicity 4)  1 Os 1.94

Computed properties:
The value obtained for the volume is 15.8 Å³ per atom. The calculated total energy comes out at -28.26 eV/atom.

Entry 8:
An optimized crystal structure of HoWC2, computed with r²SCAN.

a b c (Å): 5.6994 3.3603 10.7497
angles (deg): 90.00 90.00 90.00
Last column: nearest neighbours and their distance in Å.
Space group Pnma (No. 62)
Unique sites:
Ho  0.0856  0.2500  0.1375 (multiplicity 4)  7 C 2.44-2.59
W  0.0974  0.7500  0.3892 (multiplicity 4)  4 C 2.02-2.12
C  0.1592  0.2500  0.7530 (multiplicity 4)  2 W 2.02-2.12
C  0.2241  0.2500  0.4838 (multiplicity 4)  3 W 2.09-2.28

Computed properties:
The value obtained for the volume is 12.9 Å³ per atom. The calculated total energy comes out at -26.45 eV/atom.